Record 1
## K5HC2N4 (r²SCAN)

Data for a relaxed structure of K5HC2N4.

Calculated values
VASP energy in eV per cell: -386.9
Symmetry: No. 130
Spin magnetization in μB/atom: 0.0000
ΔE_f in eV per atom: -0.564

extended XYZ file:
```
48
Lattice="9.0506 0.0000 0.0000 0.0000 9.0506 0.0000 0.0000 0.0000 11.0101" Properties=species:S:1:pos:R:3 pbc="T T T"
K 0.9418 1.8568 6.6222
K 0.0000 4.5253 3.8433
C 3.1938 3.1938 8.2575
K 6.3822 5.4671 1.1172
H 0.0000 4.5253 1.0857
H 4.5253 0.0000 4.4194
N 0.8951 1.7606 3.8293
K 5.4671 2.6685 9.8929
K 2.6685 3.5836 1.1172
N 5.4204 2.7648 1.6757
N 5.4204 6.2859 7.1808
N 2.7648 3.6303 9.3343
H 0.0000 4.5253 6.5907
N 7.2901 0.8951 7.1808
K 8.1089 1.8568 1.1172
N 1.7606 0.8951 1.6757
C 1.3315 7.7192 8.2575
K 6.3822 3.5836 6.6222
H 4.5253 0.0000 9.9244
K 0.0000 4.5253 9.3484
K 7.1938 8.1089 9.8929
C 1.3315 1.3315 2.7525
N 1.7606 8.1556 7.1808
K 2.6685 5.4671 6.6222
N 8.1556 7.2901 3.8293
K 3.5836 2.6685 4.3879
K 4.5253 0.0000 1.6617
N 2.7648 5.4204 3.8293
C 7.7192 1.3315 8.2575
C 3.1938 5.8568 2.7525
N 8.1556 1.7606 9.3343
N 6.2859 5.4204 9.3343
C 5.8568 3.1938 2.7525
N 0.8951 7.2901 9.3343
K 5.4671 6.3822 4.3879
K 0.9418 7.1938 1.1172
C 7.7192 7.7192 2.7525
K 1.8568 0.9418 9.8929
C 5.8568 5.8568 8.2575
N 3.6303 6.2859 1.6757
N 3.6303 2.7648 7.1808
N 7.2901 8.1556 1.6757
K 7.1938 0.9418 4.3879
K 4.5253 0.0000 7.1667
K 1.8568 8.1089 4.3879
N 6.2859 3.6303 3.8293
K 3.5836 6.3822 9.8929
K 8.1089 7.1938 6.6222
```



Record 2
## KH3CN2O (r²SCAN)

Data for a relaxed structure of KH3CN2O.

Calculated values
VASP energy in eV per cell: -450.2
Symmetry: No. 61
Spin magnetization in μB/atom: 0.0000
ΔE_f in eV per atom: -0.715

extended XYZ file:
```
64
Lattice="7.0998 0.0000 0.0000 0.0000 7.2177 0.0000 0.0000 0.0000 13.4272" Properties=species:S:1:pos:R:3 pbc="T T T"
H 0.7407 2.9368 7.3001
H 1.9704 1.7411 7.1188
N 5.0470 2.2689 8.8247
N 4.6174 1.5100 6.6133
C 0.7821 2.0471 5.4564
H 1.9704 1.8678 0.4052
O 6.8246 2.6978 5.0811
C 6.3177 5.6559 1.2572
H 4.2906 0.6720 6.1271
N 5.0470 1.3400 2.1111
O 3.2747 2.6978 1.6325
N 1.0675 1.5100 0.1003
H 4.2906 2.9368 12.8407
N 2.0529 4.9489 4.6025
H 4.8182 6.3076 8.3350
C 0.7821 1.5618 12.1700
N 2.4824 5.1188 0.1003
O 0.2752 6.3066 1.6325
N 2.4824 5.7078 6.8139
N 1.4971 2.2689 11.3161
H 2.2816 0.9102 5.0922
N 5.6028 4.9489 2.1111
H 5.5203 1.7411 13.0220
N 1.4971 1.3400 4.6025
H 6.3592 6.5457 12.8407
N 5.6028 5.8777 8.8247
O 6.8246 0.9111 11.7947
N 4.6174 2.0989 13.3269
H 1.5795 5.4766 0.4052
H 5.1294 5.3500 13.0220
N 6.0323 5.7078 13.3269
H 1.5795 5.3500 7.1188
C 4.3320 1.5618 7.9708
O 0.2752 4.5199 8.3461
C 6.3177 5.1706 7.9708
K 0.7703 3.2626 2.6012
K 2.7796 6.8714 2.6012
H 6.3592 4.2809 6.1271
H 5.8315 2.6987 8.3350
K 6.3296 3.9552 10.8260
H 2.8093 6.5457 7.3001
H 2.8093 4.2809 0.5865
K 2.7796 3.9552 9.3148
C 2.7678 5.1706 12.1700
K 4.3202 3.2626 4.1124
O 3.8251 6.3066 5.0811
N 2.0529 5.8777 11.3161
H 5.8315 0.9102 1.6214
C 4.3320 2.0471 1.2572
H 5.5203 1.8678 6.3084
N 6.0323 5.1188 6.6133
H 2.2816 2.6987 11.8058
H 1.2683 6.3076 11.8058
H 5.1294 5.4766 6.3084
O 3.2747 0.9111 8.3461
K 0.7703 0.3463 9.3148
K 6.3296 6.8714 4.1124
H 1.2683 4.5190 5.0922
O 3.8251 4.5199 11.7947
H 4.8182 4.5190 1.6214
C 2.7678 5.6559 5.4564
K 4.3202 0.3463 10.8260
H 0.7407 0.6720 0.5865
N 1.0675 2.0989 6.8139
```